No. 1
The following is a DFT calculation (r²SCAN) of PmAu3 after structural relaxation.

As for the crystal system: hexagonal. The calculation puts the calculated formation energy at -735.3 meV/atom. The excess energy over the best structure of this formula in the dataset comes out at 0.000 eV per atom. As for the magnetic moment: 0.00 μB per atom.

The structure belongs to space group P6_3/mmc (No. 194); the cell edges are 6.4488, 6.4488 and 4.7232 Å and the angles 90.00°, 90.00° and 120.00°. The inequivalent atoms are Pm at (0.3333, 0.6667, 0.2500) and Au at (0.1554, 0.3107, 0.7500).

No. 2
The following is a DFT calculation (r²SCAN) of Pm2PtAu after structural relaxation.

As for the crystal system: cubic. The calculation puts the calculated formation energy at -1024.4 meV/atom. As for the magnetic moment: 0.00 μB per atom.

The structure belongs to space group Fm-3m (No. 225); the cell edges are 7.2346, 7.2346 and 7.2346 Å and the angles 90.00°, 90.00° and 90.00°. The inequivalent atoms are Pm at (0.2500, 0.2500, 0.2500), Pt at (0.0000, 0.0000, 0.0000) and Au at (0.0000, 0.0000, 0.5000).

No. 3
The following is a DFT calculation (r²SCAN) of Pm2RuAu after structural relaxation.

As for the crystal system: cubic. The calculation puts the calculated formation energy at -513.9 meV/atom. As for the magnetic moment: 0.04 μB per atom.

The structure belongs to space group Fm-3m (No. 225); the cell edges are 7.1432, 7.1432 and 7.1432 Å and the angles 90.00°, 90.00° and 90.00°. The inequivalent atoms are Pm at (0.2500, 0.2500, 0.2500), Ru at (0.0000, 0.0000, 0.0000) and Au at (0.0000, 0.0000, 0.5000).